No. 1
Density functional theory data (PBE+U) for a relaxed structure of Li6Mn3CoO10.

Lattice parameters (Å, degrees): 9.7577 2.8892 13.3483 90.00 103.24 90.00
Last column: nearest neighbours and their distance in Å.
Space group Cm (No. 8)
Symmetry-distinct sites (fractional):
1 Li 0.0000 0.0000 0.0000 (multiplicity 2)  5 O 2.03-2.16
2 Li 0.0003 0.5000 0.4951 (multiplicity 2)  6 O 2.09-2.15
3 Li 0.0988 0.5000 0.2091 (multiplicity 2)  3 O 2.01-2.10
4 Li 0.1811 0.0000 0.4061 (multiplicity 2)  5 O 2.08-2.10
5 Li 0.2956 0.5000 0.5781 (multiplicity 2)  3 O 2.00-2.02
6 Li 0.4038 0.0000 0.7772 (multiplicity 2)  5 O 1.98-2.16
7 Mn 0.1085 0.0000 0.6821 (multiplicity 2)  5 O 1.81-1.98
8 Mn 0.1997 0.5000 0.8909 (multiplicity 2)  5 O 1.96-2.20
9 Mn 0.2972 0.0000 0.0982 (multiplicity 2)  5 O 1.88-1.98
10 Co 0.3936 0.5000 0.3184 (multiplicity 2)  3 O 1.78-1.97
11 O 0.0341 0.5000 0.3413 (multiplicity 2)  2 Co 1.97, 4 Li 2.01-2.15
12 O 0.0667 0.0000 0.8372 (multiplicity 2)  3 Mn 1.96-2.20, 2 Li 2.16
13 O 0.1501 0.0000 0.5570 (multiplicity 2)  1 Mn 1.81, 2 Li 2.00
14 O 0.1606 0.5000 0.0478 (multiplicity 2)  2 Mn 1.98, 2 Li 2.12
15 O 0.2444 0.5000 0.7368 (multiplicity 2)  3 Mn 1.98-2.20, 2 Li 2.10
16 O 0.2597 0.0000 0.2301 (multiplicity 2)  1 Mn 1.88
17 O 0.3339 0.0000 0.9484 (multiplicity 2)  3 Mn 1.98-2.11, 2 Li 2.16
18 O 0.3388 0.5000 0.4368 (multiplicity 2)  1 Co 1.78
19 O 0.4303 0.5000 0.1318 (multiplicity 2)  2 Mn 1.93, 1 Li 2.03
20 O 0.4755 0.0000 0.6496 (multiplicity 2)  2 Mn 1.92, 2 Li 1.98-2.13

Values from the calculation:
E_form = -35.9 kcal/mol of atoms
DFT total energy = -5.66 eV per atom


No. 2
Density functional theory data (PBE+U) for a relaxed structure of Li7Mn2Co3O12.

Lattice parameters (Å, degrees): 8.3230 2.8989 9.8397 90.00 114.59 90.00
Last column: nearest neighbours and their distance in Å.
Space group P2/m (No. 10)
Symmetry-distinct sites (fractional):
1 Li 0.0000 0.0000 0.0000 (multiplicity 1)  6 O 2.12-2.16
2 Li 0.0000 0.5000 0.5000 (multiplicity 1)  6 O 2.11-2.15
3 Li 0.1618 0.0000 0.3214 (multiplicity 2)  3 O 1.97-2.20
4 Li 0.3125 0.5000 0.1546 (multiplicity 2)  6 O 2.07-2.23
5 Li 0.5000 0.0000 0.0000 (multiplicity 1)  6 O 2.01-2.22
6 Mn 0.3345 0.0000 0.6694 (multiplicity 2)  6 O 1.91-1.98
7 Co 0.1484 0.5000 0.8415 (multiplicity 2)  3 O 1.79-1.96
8 Co 0.5000 0.5000 0.5000 (multiplicity 1)  6 O 2.03-2.07
9 O 0.0733 0.5000 0.1726 (multiplicity 2)  1 Co 1.79, 2 Li 1.97
10 O 0.1083 0.0000 0.6757 (multiplicity 2)  1 Mn 1.91, 2 Co 2.10
11 O 0.2519 0.0000 0.9860 (multiplicity 2)  2 Co 1.96, 4 Li 2.01-2.16
12 O 0.2620 0.5000 0.5194 (multiplicity 2)  2 Mn 1.98, 1 Co 2.07, 1 Li 2.11
13 O 0.4068 0.5000 0.8116 (multiplicity 2)  2 Mn 1.93
14 O 0.4345 0.0000 0.3413 (multiplicity 2)  1 Mn 1.97, 2 Co 2.03, 1 Li 2.20

Values from the calculation:
E_form = -42.0 kcal/mol of atoms
DFT total energy = -5.82 eV per atom


No. 3
Density functional theory data (PBE+U) for a relaxed structure of Li7Mn2Co3O12.

Lattice parameters (Å, degrees): 5.1355 5.8768 7.6596 100.56 96.50 107.34
Last column: nearest neighbours and their distance in Å.
Space group P1 (No. 1)
Symmetry-distinct sites (fractional):
1 Li 0.0000 0.0000 0.0000 (multiplicity 1)  6 O 2.04-2.13
2 Li 0.0001 0.1699 0.6595 (multiplicity 1)  6 O 2.12-2.17
3 Li 0.0030 0.8407 0.3375 (multiplicity 1)  6 O 2.06-2.22
4 Li 0.4984 0.2483 0.4985 (multiplicity 1)  6 O 2.07-2.13
5 Li 0.9928 0.6591 0.6596 (multiplicity 1)  6 O 2.06-2.25
6 Li 0.9956 0.3336 0.3391 (multiplicity 1)  6 O 2.12-2.27
7 Li 0.9972 0.5006 0.9985 (multiplicity 1)  5 O 2.01-2.24
8 Mn 0.4934 0.9187 0.1660 (multiplicity 1)  6 O 1.92-1.98
9 Mn 0.4998 0.0855 0.8295 (multiplicity 1)  6 O 1.90-2.00
10 Co 0.4958 0.7548 0.4995 (multiplicity 1)  6 O 1.97-2.09
11 Co 0.4983 0.5750 0.8239 (multiplicity 1)  6 O 1.91-2.13
12 Co 0.5022 0.4180 0.1793 (multiplicity 1)  4 O 1.86-2.08
13 O 0.2627 0.6376 0.2419 (multiplicity 1)  1 Mn 1.95, 2 Li 2.05-2.14, 2 Co 2.06-2.07
14 O 0.2682 0.9615 0.5992 (multiplicity 1)  1 Mn 1.90, 1 Co 2.03, 2 Li 2.08
15 O 0.2686 0.1141 0.2402 (multiplicity 1)  1 Mn 1.92, 1 Co 2.00, 3 Li 2.04-2.09
16 O 0.2688 0.4806 0.5904 (multiplicity 1)  2 Co 1.91-1.98, 4 Li 2.06-2.13
17 O 0.2753 0.8100 0.9217 (multiplicity 1)  2 Mn 1.96-1.98, 2 Li 2.12-2.17, 1 Co 2.13
18 O 0.2802 0.2869 0.9166 (multiplicity 1)  1 Mn 1.95, 2 Co 2.03-2.08, 2 Li 2.12-2.17
19 O 0.7120 0.7111 0.0744 (multiplicity 1)  1 Mn 1.98, 2 Co 1.99-2.09, 1 Li 2.11
20 O 0.7234 0.0182 0.4015 (multiplicity 1)  1 Mn 1.93, 1 Co 1.97, 3 Li 2.06-2.13
21 O 0.7229 0.1896 0.0789 (multiplicity 1)  2 Mn 1.95-2.00, 1 Co 2.10, 3 Li 2.13-2.19
22 O 0.7276 0.8854 0.7502 (multiplicity 1)  1 Mn 1.96, 2 Co 2.02-2.07, 2 Li 2.11-2.12
23 O 0.7328 0.5419 0.4041 (multiplicity 1)  1 Co 1.86, 1 Li 2.07
24 O 0.7337 0.3635 0.7613 (multiplicity 1)  1 Mn 1.92, 2 Li 2.01-2.11, 1 Co 2.01

Values from the calculation:
E_form = -43.5 kcal/mol of atoms
DFT total energy = -5.88 eV per atom


No. 4
Density functional theory data (PBE+U) for a relaxed structure of LiMn4Co2O12.

Lattice parameters (Å, degrees): 5.0586 5.0696 10.1351 89.43 89.48 60.21
Last column: nearest neighbours and their distance in Å.
Space group P1 (No. 1)
Symmetry-distinct sites (fractional):
1 Li 0.0000 0.0000 0.0000 (multiplicity 1)  4 O 2.07-2.13
2 Mn 0.1788 0.9750 0.2629 (multiplicity 1)  6 O 1.91-1.97
3 Mn 0.3449 0.1442 0.7532 (multiplicity 1)  6 O 1.92-1.97
4 Mn 0.6790 0.4751 0.7532 (multiplicity 1)  6 O 1.92-1.98
5 Mn 0.8469 0.6472 0.2553 (multiplicity 1)  6 O 1.91-2.00
6 Co 0.0115 0.8104 0.7394 (multiplicity 1)  6 O 1.94-2.06
7 Co 0.5112 0.3103 0.2589 (multiplicity 1)  6 O 1.91-2.11
8 O 0.0113 0.4675 0.8499 (multiplicity 1)  2 Mn 1.94, 1 Co 2.06
9 O 0.0136 0.1543 0.6552 (multiplicity 1)  2 Mn 1.93-1.94, 1 Co 1.94
10 O 0.1591 0.6750 0.1544 (multiplicity 1)  2 Mn 1.93-1.94, 1 Co 2.11, 1 Li 2.11
11 O 0.1787 0.3147 0.3508 (multiplicity 1)  1 Co 1.91, 2 Mn 1.94-1.95
12 O 0.3382 0.8110 0.8496 (multiplicity 1)  2 Mn 1.96-1.98, 1 Co 2.00, 1 Li 2.13
13 O 0.3587 0.4622 0.6551 (multiplicity 1)  2 Mn 1.92-1.94, 1 Co 1.96
14 O 0.5124 0.9758 0.1618 (multiplicity 1)  2 Mn 1.93-1.97, 1 Co 1.97
15 O 0.5157 0.6425 0.3517 (multiplicity 1)  2 Mn 1.92-1.94, 1 Co 1.95
16 O 0.6699 0.8074 0.6563 (multiplicity 1)  2 Mn 1.92-1.95, 1 Co 1.94
17 O 0.6804 0.1415 0.8506 (multiplicity 1)  2 Mn 1.95-1.97, 1 Co 2.03, 1 Li 2.07
18 O 0.8524 0.3021 0.1598 (multiplicity 1)  2 Mn 1.96-2.00, 1 Co 1.97, 1 Li 2.10
19 O 0.8586 0.9578 0.3567 (multiplicity 1)  2 Mn 1.91, 1 Co 2.04

Values from the calculation:
E_form = -36.5 kcal/mol of atoms
DFT total energy = -6.53 eV per atom


No. 5
Density functional theory data (PBE+U) for a relaxed structure of Li4MnCo2O7.

Lattice parameters (Å, degrees): 2.9826 5.9614 14.3171 82.99 84.62 86.00
Last column: nearest neighbours and their distance in Å.
Space group P1 (No. 1)
Symmetry-distinct sites (fractional):
1 Li 0.0000 0.0000 0.0000 (multiplicity 1)  5 O 2.00-2.12
2 Li 0.0235 0.5277 0.9998 (multiplicity 1)  6 O 2.01-2.24
3 Li 0.1539 0.0834 0.7188 (multiplicity 1)  6 O 2.00-2.19
4 Li 0.2986 0.6561 0.4345 (multiplicity 1)  6 O 2.11-2.22
5 Li 0.4483 0.2174 0.1372 (multiplicity 1)  5 O 2.09-2.32
6 Li 0.5812 0.8045 0.8654 (multiplicity 1)  6 O 2.10-2.22
7 Li 0.7277 0.3711 0.5772 (multiplicity 1)  6 O 2.13-2.19
8 Li 0.8696 0.9389 0.2856 (multiplicity 1)  6 O 2.03-2.18
9 Mn 0.2986 0.1514 0.4326 (multiplicity 1)  4 O 1.95-2.01
10 Mn 0.8825 0.4492 0.2865 (multiplicity 1)  4 O 1.94-1.98
11 Co 0.1560 0.5839 0.7199 (multiplicity 1)  4 O 1.89-1.93
12 Co 0.4491 0.7371 0.1395 (multiplicity 1)  5 O 1.79-1.97
13 Co 0.5758 0.2885 0.8662 (multiplicity 1)  3 O 1.74-1.94
14 Co 0.7239 0.8649 0.5769 (multiplicity 1)  4 O 1.90-1.95
15 O 0.0524 0.0686 0.8594 (multiplicity 1)  1 Co 1.87, 2 Li 2.00
16 O 0.1129 0.5379 0.8536 (multiplicity 1)  2 Co 1.89-1.96, 1 Li 2.08
17 O 0.1936 0.6262 0.5837 (multiplicity 1)  2 Co 1.93, 3 Li 2.12-2.15
18 O 0.2581 0.1078 0.5712 (multiplicity 1)  1 Co 1.94, 1 Mn 1.96, 2 Li 2.10-2.15
19 O 0.3434 0.1994 0.2909 (multiplicity 1)  2 Mn 1.95-2.01, 3 Li 2.13-2.18
20 O 0.4093 0.6887 0.2783 (multiplicity 1)  1 Mn 1.94, 1 Co 1.97, 2 Li 2.11-2.12
21 O 0.5020 0.7577 0.0135 (multiplicity 1)  1 Co 1.79
22 O 0.5207 0.2713 0.9892 (multiplicity 1)  1 Co 1.74
23 O 0.6215 0.3455 0.7294 (multiplicity 1)  2 Co 1.92-1.94
24 O 0.6859 0.8218 0.7111 (multiplicity 1)  2 Co 1.90-1.92
25 O 0.7636 0.9058 0.4394 (multiplicity 1)  1 Mn 1.95, 1 Co 1.95, 2 Li 2.11-2.12
26 O 0.8371 0.4015 0.4258 (multiplicity 1)  2 Mn 1.96-1.97, 3 Li 2.14-2.15
27 O 0.9276 0.9432 0.1429 (multiplicity 1)  2 Co 1.91-1.95, 3 Li 2.03-2.09
28 O 0.9607 0.5117 0.1475 (multiplicity 1)  2 Co 1.96-2.04, 1 Mn 1.98, 1 Li 2.10

Values from the calculation:
E_form = -41.0 kcal/mol of atoms
DFT total energy = -5.77 eV per atom


No. 6
Density functional theory data (PBE+U) for a relaxed structure of Li7Mn2Co3O12.

Lattice parameters (Å, degrees): 2.9017 7.7684 10.2317 109.22 90.86 98.56
Last column: nearest neighbours and their distance in Å.
Space group P-1 (No. 2)
Symmetry-distinct sites (fractional):
1 Li 0.0000 0.0000 0.0000 (multiplicity 1)  6 O 2.06-2.14
2 Li 0.1437 0.3206 0.9192 (multiplicity 2)  5 O 1.98-2.18
3 Li 0.1701 0.3329 0.4163 (multiplicity 2)  6 O 2.08-2.18
4 Li 0.4917 0.9909 0.2373 (multiplicity 2)  6 O 2.13-2.26
5 Mn 0.3450 0.6779 0.8426 (multiplicity 2)  5 O 1.82-1.97
6 Co 0.0000 0.0000 0.5000 (multiplicity 1)  6 O 1.94-2.09
7 Co 0.3208 0.6656 0.3332 (multiplicity 2)  6 O 1.93-2.11
8 O 0.0753 0.1755 0.7046 (multiplicity 2)  3 Co 1.93-2.11, 3 Li 2.10-2.15
9 O 0.1013 0.1863 0.2045 (multiplicity 2)  2 Mn 1.93-1.94, 3 Li 2.08-2.13
10 O 0.2186 0.4818 0.1330 (multiplicity 2)  2 Mn 1.97, 1 Co 2.06, 2 Li 2.12-2.18
11 O 0.2715 0.4965 0.6363 (multiplicity 2)  2 Co 1.94-2.07, 1 Mn 2.10, 2 Li 2.13-2.15
12 O 0.4027 0.8411 0.5364 (multiplicity 2)  3 Co 1.94-2.09, 2 Li 2.12-2.15
13 O 0.4090 0.8162 0.0260 (multiplicity 2)  1 Mn 1.82, 2 Li 1.98

Values from the calculation:
E_form = -43.6 kcal/mol of atoms
DFT total energy = -5.89 eV per atom